[1]
First-principles (PBE-GGA) data for a geometry-optimized TaPO5 structure, as listed in the Materials Project.

formation enthalpy at 0 K = -3061 meV per atom
distance to the lowest polymorph of the same formula = 0.049 eV per atom

Lattice parameters (Å, degrees): 6.515 6.515 4.050 90.00 90.00 90.00
Space group P4/nmm (No. 129, origin choice 2)
One atom of each set of equivalent atoms:
1 Ta 0.250 0.250 0.236 x2
2 P 0.250 0.750 0.500 x2
3 O 0.055 0.750 0.716 x8
4 O 0.250 0.250 0.785 x2

[2]
First-principles (PBE-GGA) data for a geometry-optimized Nd3Si4Ni29 structure, as listed in the Materials Project.

formation enthalpy at 0 K = -224 meV per atom

Lattice parameters (Å, degrees): 10.863 10.863 7.644 90.00 90.00 90.00
Space group P4/nmm (No. 129, origin choice 2)
One atom of each set of equivalent atoms:
1 Nd 0.000 0.000 0.000 x4
2 Nd 0.250 0.750 0.500 x2
3 Si 0.063 0.750 0.181 x8
4 Ni 0.021 0.250 0.519 x8
5 Ni 0.073 0.585 0.658 x16
6 Ni 0.091 0.250 0.029 x8
7 Ni 0.132 0.750 0.880 x8
8 Ni 0.134 0.134 0.751 x8
9 Ni 0.138 0.138 0.298 x8
10 Ni 0.250 0.250 0.525 x2

[3]
First-principles (PBE-GGA) data for a geometry-optimized Pr6Al3Fe11 structure, as listed in the Materials Project.

formation enthalpy at 0 K = -113 meV per atom

Lattice parameters (Å, degrees): 8.094 8.094 23.472 90.00 90.00 90.00
Space group I4cm (No. 108)
One atom of each set of equivalent atoms:
1 Pr 0.000 0.000 0.000 x4
2 Pr 0.000 0.000 0.212 x4
3 Pr 0.166 0.334 0.420 x8
4 Pr 0.168 0.332 0.797 x8
5 Al 0.000 0.000 0.356 x4
6 Al 0.119 0.381 0.199 x8
7 Fe 0.000 0.500 0.105 x4
8 Fe 0.068 0.211 0.105 x16
9 Fe 0.113 0.387 0.012 x8
10 Fe 0.176 0.324 0.661 x8
11 Fe 0.179 0.321 0.547 x8

[4]
First-principles (PBE-GGA) data for a geometry-optimized CdSnAs2 structure, as listed in the Materials Project.

formation enthalpy at 0 K = 113 meV per atom
distance to the lowest polymorph of the same formula = 0.245 eV per atom

Lattice parameters (Å, degrees): 8.251 4.416 39.896 90.00 90.62 90.00
Space group Cm (No. 8)
One atom of each set of equivalent atoms:
1 Cd 0.000 0.000 0.000 x2
2 Cd 0.001 0.000 0.753 x2
3 Cd 0.167 0.500 0.917 x2
4 Cd 0.169 0.500 0.671 x2
5 Cd 0.332 0.000 0.076 x2
6 Cd 0.333 0.000 0.835 x2
7 Sn 0.000 0.000 0.500 x2
8 Sn 0.001 0.000 0.253 x2
9 Sn 0.168 0.500 0.170 x2
10 Sn 0.168 0.500 0.418 x2
11 Sn 0.335 0.000 0.335 x2
12 Sn 0.338 0.000 0.592 x2
13 As 0.008 0.000 0.568 x2
14 As 0.010 0.000 0.822 x2
15 As 0.011 0.000 0.069 x2
16 As 0.012 0.000 0.321 x2
17 As 0.177 0.500 0.985 x2
18 As 0.178 0.500 0.239 x2
19 As 0.178 0.500 0.486 x2
20 As 0.178 0.500 0.739 x2
21 As 0.341 0.000 0.147 x2
22 As 0.344 0.000 0.903 x2
23 As 0.345 0.000 0.404 x2
24 As 0.345 0.000 0.658 x2

[5]
First-principles (PBE-GGA) data for a geometry-optimized TiBe2Ir structure, as listed in the Materials Project.

formation enthalpy at 0 K = -562 meV per atom

Lattice parameters (Å, degrees): 5.681 5.681 5.681 90.00 90.00 90.00
Space group Fm-3m (No. 225)
One atom of each set of equivalent atoms:
1 Ti 0.000 0.000 0.000 x4
2 Be 0.250 0.250 0.250 x8
3 Ir 0.000 0.000 0.500 x4

[6]
First-principles (PBE-GGA) data for a geometry-optimized Rb7NaSi8 structure, as listed in the Materials Project.

formation enthalpy at 0 K = -15 meV per atom

Lattice parameters (Å, degrees): 13.165 13.165 13.165 90.00 90.00 90.00
Space group Pa-3 (No. 205)
One atom of each set of equivalent atoms:
1 Rb 0.000 0.000 0.000 x4
2 Rb 0.043 0.226 0.314 x24
3 Na 0.000 0.000 0.500 x4
4 Si 0.062 0.702 0.922 x24
5 Si 0.199 0.699 0.801 x8

[7]
First-principles (PBE-GGA) data for a geometry-optimized K2MgH4 structure, as listed in the Materials Project.

formation enthalpy at 0 K = -348 meV per atom

Lattice parameters (Å, degrees): 4.039 4.039 13.685 90.00 90.00 90.00
Space group I4/mmm (No. 139)
One atom of each set of equivalent atoms:
1 K 0.000 0.000 0.144 x4
2 Mg 0.000 0.000 0.500 x2
3 H 0.000 0.000 0.353 x4
4 H 0.000 0.500 0.000 x4

[8]
First-principles (PBE-GGA) data for a geometry-optimized CoCl2 structure, as listed in the Materials Project.

formation enthalpy at 0 K = -980 meV per atom

Lattice parameters (Å, degrees): 3.5248 3.5248 18.2447 90.00 90.00 120.00
Space group R-3m (No. 166, hexagonal axes)
One atom of each set of equivalent atoms:
1 Co 0.0000 0.0000 0.0000 x3
2 Cl 0.0000 0.0000 0.2602 x6

[9]
First-principles (PBE-GGA) data for a geometry-optimized InPO6 structure, as listed in the Materials Project.

formation enthalpy at 0 K = -1369 meV per atom
distance to the lowest polymorph of the same formula = 0.008 eV per atom

Lattice parameters (Å, degrees): 5.362 9.147 10.547 90.00 113.22 90.00
Space group P2_1/c (No. 14)
One atom of each set of equivalent atoms:
1 In 0.110 0.184 0.177 x4
2 P 0.270 0.642 0.646 x4
3 O 0.018 0.507 0.232 x4
4 O 0.030 0.636 0.713 x4
5 O 0.138 0.748 0.525 x4
6 O 0.298 0.014 0.104 x4
7 O 0.478 0.205 0.741 x4
8 O 0.491 0.061 0.474 x4

[10]
First-principles (PBE-GGA) data for a geometry-optimized TbP3O9 structure, as listed in the Materials Project.

formation enthalpy at 0 K = -3014 meV per atom

Lattice parameters (Å, degrees): 23.012 13.610 10.179 90.00 96.68 90.00
Space group C2/c (No. 15)
One atom of each set of equivalent atoms:
1 Tb 0.116 0.136 0.270 x8
2 Tb 0.135 0.380 0.734 x8
3 P 0.000 0.048 0.750 x4
4 P 0.000 0.471 0.250 x4
5 P 0.039 0.319 0.450 x8
6 P 0.053 0.211 0.926 x8
7 P 0.192 0.036 0.563 x8
8 P 0.216 0.429 0.067 x8
9 P 0.245 0.294 0.293 x8
10 O 0.002 0.291 0.940 x8
11 O 0.005 0.397 0.129 x8
12 O 0.013 0.119 0.876 x8
13 O 0.051 0.235 0.361 x8
14 O 0.054 0.008 0.232 x8
15 O 0.057 0.474 0.771 x8
16 O 0.084 0.187 0.060 x8
17 O 0.087 0.249 0.820 x8
18 O 0.090 0.371 0.524 x8
19 O 0.143 0.091 0.486 x8
20 O 0.179 0.034 0.170 x8
21 O 0.184 0.491 0.157 x8
22 O 0.185 0.397 0.936 x8
23 O 0.186 0.254 0.312 x8
24 O 0.203 0.273 0.683 x8
25 O 0.223 0.020 0.952 x8
26 O 0.242 0.333 0.144 x8
27 O 0.245 0.109 0.617 x8